Record 1
A relaxed MgSi2 crystal. Source: the Materials Project database, functional PBE.

Geometry as extended XYZ:
```
24
Lattice="9.4475 0.0000 0.0000 0.0000 6.0238 0.0000 0.0000 0.0000 7.3791" Properties=species:S:1:pos:R:3 pbc="T T T"
Mg 0.9658 1.5060 1.5122
Mg 1.3090 4.5179 0.8356
Mg 3.4147 1.5060 4.5252
Mg 3.7579 4.5179 5.2018
Mg 5.6896 1.5060 2.1773
Mg 6.0328 4.5179 2.8539
Mg 8.1385 1.5060 6.5434
Mg 8.4817 4.5179 5.8669
Si 1.2289 3.3271 3.6935
Si 1.2289 5.7086 3.6935
Si 1.3015 0.2912 6.0666
Si 1.3015 2.7207 6.0666
Si 3.4223 3.3031 2.3771
Si 3.4223 5.7326 2.3771
Si 3.4949 0.3152 0.0040
Si 3.4949 2.6967 0.0040
Si 5.9526 3.3271 7.3751
Si 5.9526 5.7086 7.3751
Si 6.0252 0.2912 5.0020
Si 6.0252 2.7207 5.0020
Si 8.1461 3.3031 1.3125
Si 8.1461 5.7326 1.3125
Si 8.2187 0.3152 3.6855
Si 8.2187 2.6967 3.6855
```

Total moment, μB/atom: 0.0000
Calculated formation energy, eV per atom: 0.154
E above lowest polymorph, meV per atom: 76
Mass density, g cm⁻³: 2.55



Record 2
A relaxed Cs2AgF6 crystal. Source: the Materials Project database, functional PBE.

Geometry as extended XYZ:
```
9
Lattice="0.0000 4.6291 4.6291 4.6291 0.0000 4.6291 4.6291 4.6291 0.0000" Properties=species:S:1:pos:R:3 pbc="T T T"
Cs 2.3145 2.3145 2.3145
Cs 6.9436 6.9436 6.9436
Ag 0.0000 0.0000 0.0000
F 4.6291 4.6291 2.0244
F 4.6291 2.0244 4.6291
F 7.2337 4.6291 4.6291
F 2.0244 4.6291 4.6291
F 4.6291 7.2337 4.6291
F 4.6291 4.6291 7.2337
```

Calculated formation energy, eV per atom: -2.111
Mass density, g cm⁻³: 4.08



Record order is preserved below.
E: -4.044, -3.593 eV/atom